This record from the Materials Project describes a geometry-optimized Li4CuP2O8 structure. The functional is PBE-GGA.

a b c (Å): 10.372 8.175 8.273
angles (deg): 73.58 90.00 90.00
Positions (direct):
O  0.329  0.905  0.181
O  0.172  0.056  0.854
O  0.894  0.808  0.446
O  0.846  0.403  0.625
O  0.828  0.944  0.146
O  0.106  0.192  0.554
O  0.154  0.597  0.375
O  0.672  0.444  0.146
O  0.910  0.298  0.936
O  0.452  0.021  0.723
O  0.952  0.479  0.277
O  0.447  0.502  0.257
O  0.150  0.870  0.657
O  0.090  0.702  0.064
O  0.947  0.998  0.743
O  0.053  0.002  0.257
O  0.410  0.202  0.064
O  0.350  0.370  0.657
O  0.394  0.692  0.554
O  0.048  0.521  0.723
O  0.171  0.405  0.181
O  0.606  0.308  0.446
O  0.590  0.798  0.936
O  0.671  0.095  0.819
O  0.548  0.979  0.277
O  0.328  0.556  0.854
O  0.850  0.130  0.343
O  0.654  0.903  0.625
O  0.829  0.595  0.819
O  0.650  0.630  0.343
O  0.553  0.498  0.743
O  0.346  0.097  0.375
Cu  0.643  0.573  0.914
Cu  0.857  0.073  0.914
Cu  0.143  0.927  0.086
Cu  0.357  0.427  0.086
Li  0.648  0.853  0.146
Li  0.164  0.170  0.332
Li  0.926  0.269  0.483
Li  0.664  0.330  0.668
Li  0.836  0.595  0.404
Li  0.336  0.905  0.596
Li  0.664  0.095  0.404
Li  0.074  0.731  0.517
Li  0.852  0.353  0.146
Li  0.148  0.647  0.854
Li  0.426  0.231  0.517
Li  0.352  0.147  0.854
Li  0.574  0.769  0.483
Li  0.336  0.670  0.332
Li  0.164  0.405  0.596
Li  0.836  0.830  0.668
P  0.594  0.473  0.298
P  0.906  0.973  0.298
P  0.406  0.527  0.702
P  0.090  0.546  0.226
P  0.094  0.027  0.702
P  0.910  0.454  0.774
P  0.590  0.954  0.774
P  0.410  0.046  0.226

Values from the calculation:
Energy in eV per cell: -375.8
Crystal system: monoclinic
Magnetization in μB per cell: 4.00
SG: P2_1/c

=====

This record from the Materials Project describes a geometry-optimized ErSi2 structure. The functional is PBE-GGA.

a b c (Å): 7.868 7.868 7.868
angles (deg): 151.03 151.03 41.43
Positions (direct):
Si  0.418  0.418  0.000
Si  0.332  0.832  0.500
Si  0.582  0.582  0.000
Si  0.168  0.668  0.500
Er  0.000  0.000  0.000
Er  0.750  0.250  0.500

Values from the calculation:
Energy in eV per cell: -33.9
Crystal system: tetragonal
SG: I4_1/amd

=====

This record from the Materials Project describes a geometry-optimized CrFeTe structure. The functional is PBE-GGA.

a b c (Å): 4.146 4.146 4.146
angles (deg): 60.00 60.00 60.00
Positions (direct):
Cr  0.250  0.250  0.250
Te  0.750  0.750  0.750
Fe  0.000  0.000  0.000

Values from the calculation:
Energy in eV per cell: -20.9
Crystal system: cubic
Magnetization in μB per cell: 2.00
SG: F-43m

=====

This record from the Materials Project describes a geometry-optimized Rb3Ge7HO20 structure. The functional is PBE-GGA.

a b c (Å): 7.864 7.864 7.864
angles (deg): 89.53 89.53 89.53
Positions (direct):
O  0.622  0.346  0.868
O  0.230  0.796  0.230
O  0.796  0.230  0.230
O  0.620  0.620  0.620
O  0.346  0.868  0.622
O  0.382  0.382  0.609
O  0.868  0.622  0.346
O  0.624  0.098  0.624
O  0.624  0.624  0.098
O  0.820  0.820  0.820
O  0.622  0.868  0.346
O  0.382  0.609  0.382
O  0.868  0.346  0.622
O  0.230  0.230  0.796
O  0.609  0.382  0.382
O  0.361  0.361  0.118
O  0.118  0.361  0.361
O  0.346  0.622  0.868
O  0.361  0.118  0.361
O  0.098  0.624  0.624
Ge  0.488  0.488  0.983
Ge  0.488  0.983  0.488
Ge  0.326  0.637  0.637
Ge  0.352  0.352  0.352
Ge  0.637  0.326  0.637
Ge  0.637  0.637  0.326
Ge  0.983  0.488  0.488
Rb  0.986  0.986  0.477
Rb  0.477  0.986  0.986
Rb  0.986  0.477  0.986
H  0.549  0.549  0.549

Values from the calculation:
Energy in eV per cell: -171.0
Crystal system: trigonal
Magnetization in μB per cell: 8.00
SG: R3m

=====

This record from the Materials Project describes a geometry-optimized ZrF4 structure. The functional is PBE-GGA.

a b c (Å): 4.231 4.231 19.586
angles (deg): 90.00 90.00 90.00
Positions (direct):
F  0.000  0.500  0.500
F  0.500  0.000  0.500
F  0.000  0.000  0.401
F  0.000  0.000  0.599
Zr  0.000  0.000  0.500

Values from the calculation:
Energy in eV per cell: -33.7
Crystal system: tetragonal
Magnetization in μB per cell: 0.00
SG: P4/mmm

=====

This record from the Materials Project describes a geometry-optimized Ba6LiNb2IrCl2O12 structure. The functional is PBE-GGA.

a b c (Å): 6.266 6.265 14.996
angles (deg): 97.26 82.75 123.00
Positions (direct):
O  0.694  0.803  0.249
O  0.140  0.859  0.887
O  0.801  0.693  0.747
O  0.696  0.864  0.928
O  0.340  0.119  0.073
O  0.137  0.305  0.927
O  0.871  0.133  0.106
O  0.881  0.661  0.072
O  0.198  0.305  0.250
O  0.308  0.199  0.747
O  0.824  0.177  0.771
O  0.172  0.826  0.234
Ba  0.342  0.659  0.084
Ba  0.337  0.663  0.783
Ba  0.656  0.345  0.212
Ba  0.615  0.386  0.902
Ba  0.308  0.692  0.361
Ba  0.693  0.307  0.633
Cl  0.319  0.681  0.576
Cl  0.678  0.323  0.424
Li  0.804  0.199  0.002
Nb  0.017  0.984  0.184
Nb  0.985  0.015  0.813
Ir  0.018  0.983  0.001

Values from the calculation:
Energy in eV per cell: -163.9
Crystal system: triclinic
Magnetization in μB per cell: 0.00
SG: P1

=====

This record from the Materials Project describes a geometry-optimized GaH5N2F2 structure. The functional is PBE-GGA.

a b c (Å): 6.332 6.332 5.011
angles (deg): 88.57 88.57 55.12
Positions (direct):
Ga  0.500  0.500  0.500
Ga  0.000  0.000  0.000
F  0.690  0.168  0.236
F  0.168  0.690  0.236
F  0.832  0.310  0.764
F  0.310  0.832  0.764
H  0.340  0.043  0.212
H  0.724  0.724  0.402
H  0.276  0.276  0.598
H  0.649  0.649  0.111
H  0.957  0.660  0.788
H  0.043  0.340  0.212
H  0.660  0.957  0.788
H  0.112  0.112  0.426
H  0.351  0.351  0.889
H  0.888  0.888  0.574
N  0.857  0.857  0.768
N  0.143  0.143  0.232
N  0.356  0.356  0.688
N  0.644  0.644  0.312

Values from the calculation:
Energy in eV per cell: -99.7
Crystal system: monoclinic
Magnetization in μB per cell: 0.00
SG: C2/m

=====

This record from the Materials Project describes a geometry-optimized DyCl2 structure. The functional is PBE-GGA.

a b c (Å): 6.362 7.157 12.468
angles (deg): 90.00 90.00 90.00
Positions (direct):
Cl  0.020  0.207  0.045
Cl  0.980  0.293  0.545
Cl  0.480  0.707  0.955
Cl  0.316  0.377  0.291
Cl  0.520  0.293  0.045
Cl  0.184  0.877  0.709
Cl  0.520  0.793  0.455
Cl  0.816  0.123  0.291
Cl  0.684  0.123  0.791
Cl  0.684  0.623  0.709
Cl  0.020  0.707  0.455
Cl  0.480  0.207  0.545
Cl  0.816  0.623  0.209
Cl  0.184  0.377  0.791
Cl  0.980  0.793  0.955
Cl  0.316  0.877  0.209
Dy  0.183  0.050  0.402
Dy  0.817  0.450  0.902
Dy  0.317  0.550  0.598
Dy  0.683  0.950  0.098
Dy  0.317  0.050  0.902
Dy  0.183  0.550  0.098
Dy  0.817  0.950  0.598
Dy  0.683  0.450  0.402

Values from the calculation:
Energy in eV per cell: -109.6
Crystal system: orthorhombic
Magnetization in μB per cell: 0.00
SG: Pbca

=====

This record from the Materials Project describes a geometry-optimized PrDyTl2 structure. The functional is PBE-GGA.

a b c (Å): 5.474 5.474 5.474
angles (deg): 60.00 60.00 60.00
Positions (direct):
Dy  0.500  0.500  0.500
Tl  0.750  0.750  0.750
Tl  0.250  0.250  0.250
Pr  0.000  0.000  0.000

Values from the calculation:
Energy in eV per cell: -15.6
Crystal system: cubic
SG: Fm-3m

=====

This record from the Materials Project describes a geometry-optimized CsGaAgF6 structure. The functional is PBE-GGA.

a b c (Å): 7.569 7.703 10.634
angles (deg): 90.00 90.00 90.00
Positions (direct):
Cs  0.520  0.250  0.867
Cs  0.480  0.750  0.133
Cs  0.980  0.750  0.367
Cs  0.020  0.250  0.633
F  0.641  0.991  0.350
F  0.955  0.750  0.010
F  0.037  0.750  0.670
F  0.709  0.535  0.597
F  0.291  0.035  0.403
F  0.455  0.750  0.490
F  0.045  0.250  0.990
F  0.963  0.250  0.330
F  0.209  0.535  0.903
F  0.859  0.009  0.850
F  0.209  0.965  0.903
F  0.359  0.491  0.650
F  0.859  0.491  0.850
F  0.463  0.250  0.170
F  0.791  0.035  0.097
F  0.537  0.750  0.830
F  0.141  0.509  0.150
F  0.709  0.965  0.597
F  0.791  0.465  0.097
F  0.359  0.009  0.650
F  0.545  0.250  0.510
F  0.291  0.465  0.403
F  0.641  0.509  0.350
F  0.141  0.991  0.150
Ga  0.000  0.000  0.000
Ga  0.000  0.500  0.000
Ga  0.500  0.000  0.500
Ga  0.500  0.500  0.500
Ag  0.785  0.750  0.747
Ag  0.215  0.250  0.253
Ag  0.285  0.750  0.753
Ag  0.715  0.250  0.247

Values from the calculation:
Energy in eV per cell: -152.3
Crystal system: orthorhombic
Magnetization in μB per cell: 0.01
SG: Pnma

=====

This record from the Materials Project describes a geometry-optimized Ba2TbPrO6 structure. The functional is PBE-GGA.

a b c (Å): 9.004 9.004 9.004
angles (deg): 90.00 90.00 90.00
Positions (direct):
Ba  0.000  0.500  0.000
Ba  0.500  0.000  0.000
Ba  0.500  0.500  0.000
Ba  0.500  0.000  0.500
Ba  0.000  0.500  0.500
Ba  0.000  0.000  0.500
Ba  0.000  0.000  0.000
Ba  0.500  0.500  0.500
Tb  0.250  0.750  0.750
Tb  0.250  0.250  0.250
Tb  0.750  0.250  0.750
Tb  0.750  0.750  0.250
O  0.279  0.784  0.995
O  0.716  0.505  0.221
O  0.284  0.495  0.221
O  0.721  0.784  0.005
O  0.505  0.221  0.716
O  0.221  0.716  0.505
O  0.221  0.284  0.495
O  0.495  0.779  0.716
O  0.716  0.495  0.779
O  0.005  0.721  0.784
O  0.495  0.221  0.284
O  0.284  0.505  0.779
O  0.995  0.721  0.216
O  0.995  0.279  0.784
O  0.216  0.005  0.279
O  0.784  0.005  0.721
O  0.505  0.779  0.284
O  0.005  0.279  0.216
O  0.279  0.216  0.005
O  0.784  0.995  0.279
O  0.721  0.216  0.995
O  0.779  0.716  0.495
O  0.779  0.284  0.505
O  0.216  0.995  0.721
Pr  0.250  0.250  0.750
Pr  0.750  0.250  0.250
Pr  0.750  0.750  0.750
Pr  0.250  0.750  0.250

Values from the calculation:
Energy in eV per cell: -276.7
Crystal system: cubic
Magnetization in μB per cell: 8.00
SG: Pn-3

=====

This record from the Materials Project describes a geometry-optimized Ho2Ge2O7 structure. The functional is PBE-GGA.

a b c (Å): 6.850 6.850 12.477
angles (deg): 90.00 90.00 90.00
Positions (direct):
Ho  0.353  0.876  0.865
Ho  0.853  0.624  0.885
Ho  0.647  0.124  0.365
Ho  0.624  0.853  0.115
Ho  0.376  0.147  0.615
Ho  0.124  0.647  0.635
Ho  0.876  0.353  0.135
Ho  0.147  0.376  0.385
O  0.143  0.683  0.455
O  0.317  0.857  0.045
O  0.435  0.839  0.679
O  0.921  0.032  0.123
O  0.697  0.697  0.500
O  0.303  0.303  0.000
O  0.661  0.935  0.929
O  0.161  0.565  0.821
O  0.421  0.468  0.627
O  0.339  0.065  0.429
O  0.468  0.421  0.373
O  0.935  0.661  0.071
O  0.683  0.143  0.545
O  0.065  0.339  0.571
O  0.803  0.197  0.750
O  0.857  0.317  0.955
O  0.079  0.968  0.623
O  0.643  0.817  0.295
O  0.839  0.435  0.321
O  0.579  0.532  0.127
O  0.968  0.079  0.377
O  0.565  0.161  0.179
O  0.532  0.579  0.873
O  0.183  0.357  0.205
O  0.032  0.921  0.877
O  0.357  0.183  0.795
O  0.817  0.643  0.705
O  0.197  0.803  0.250
Ge  0.652  0.599  0.369
Ge  0.848  0.099  0.881
Ge  0.099  0.848  0.119
Ge  0.901  0.152  0.619
Ge  0.401  0.348  0.131
Ge  0.152  0.901  0.381
Ge  0.599  0.652  0.631
Ge  0.348  0.401  0.869

Values from the calculation:
Energy in eV per cell: -328.0
Crystal system: tetragonal
SG: P4_12_12

=====

| no. | calculated density (g cm⁻³) | ΔE_f (eV/atom) |
| --- | --- | --- |
| 1 | 2.78 | -2.4864 |
| 2 | 6.51 | -0.4568 |
| 3 | 7.76 | -0.0109 |
| 4 | 3.71 | -1.5202 |
| 5 | 0.79 | -3.8666 |
| 6 | 5.00 | -2.7745 |
| 7 | 2.84 | -1.0267 |
| 8 | 5.46 | -2.2089 |
| 9 | 10.20 | -0.3649 |
| 10 | 4.55 | -2.5110 |
| 11 | 6.10 | -3.0367 |
| 12 | 6.66 | -3.0687 |